# 1
{"formula": "Sc2InHg", "functional": "PBE-GGA", "state": "relaxed", "ef_ev_per_atom": -0.4202, "space_group": "Fm-3m", "lattice": [[-3.809, 2.800, 1.693], [-1.564, 3.973, -2.643], [-4.443, -0.129, -2.335]], "species": ["Hg", "Sc", "Sc", "In"], "frac_coords": [[0.500, 0.500, 0.500], [0.750, 0.750, 0.750], [0.250, 0.250, 0.250], [0.000, 0.000, 0.000]]}

***

# 2
{"formula": "Tb2InHg", "functional": "PBE-GGA", "state": "relaxed", "ef_ev_per_atom": -0.4704, "space_group": "Fm-3m", "lattice": [[5.136, 0.421, 1.354], [1.465, 3.333, 3.890], [1.692, -1.933, 4.668]], "species": ["Tb", "Tb", "In", "Hg"], "frac_coords": [[0.250, 0.250, 0.250], [0.750, 0.750, 0.750], [0.000, 0.000, 0.000], [0.500, 0.500, 0.500]]}

***

| no. | V (Å³/cell) |
| --- | --- |
| 1 | 89.53 |
| 2 | 106.93 |